Density functional theory data (GGA-PBE) for an optimized crystal structure of SbSe5F6.

extended XYZ file:
```
192
Lattice="-0.027 0.000 -13.742 0.000 -16.682 0.000 -19.321 0.000 6.735" Properties=species:S:1:pos:R:3 pbc="T T T"
Sb -2.538 -15.445 -6.051
Sb -16.825 -7.104 -7.826
Sb -16.811 -1.237 -0.955
Sb -2.524 -9.578 0.820
Sb -16.573 -6.693 -0.510
Sb -2.762 -15.034 0.374
Sb -2.776 -9.989 -6.496
Sb -16.587 -1.648 -7.381
Sb -12.246 -15.426 -1.267
Sb -7.089 -7.085 1.131
Sb -7.103 -1.256 -5.739
Sb -12.259 -9.597 -8.138
Sb -12.350 -9.941 -0.326
Sb -6.985 -1.600 0.190
Sb -6.998 -6.740 -6.680
Sb -12.364 -15.081 -7.197
Se -9.369 -4.326 -3.087
Se -9.966 -12.667 2.951
Se -9.979 -12.356 -3.919
Se -9.383 -4.015 -9.958
Se -10.351 -6.471 -2.401
Se -8.985 -14.812 2.265
Se -8.998 -10.210 -4.606
Se -10.364 -1.870 -9.272
Se -11.536 -7.134 -4.261
Se -7.826 -15.474 -9.617
Se -7.812 -9.548 -2.746
Se -11.523 -1.207 2.610
Se -13.758 -6.474 -3.655
Se -5.604 -14.815 -10.223
Se -5.591 -10.208 -3.352
Se -13.744 -1.867 3.216
Se -14.233 -4.791 -5.146
Se -5.129 -13.132 -8.731
Se -5.116 -11.891 -1.861
Se -14.219 -3.550 1.725
Se -13.733 -2.709 -3.935
Se -5.630 -11.050 -9.942
Se -5.616 -13.973 -3.072
Se -13.719 -5.632 2.936
Se -12.779 -3.625 -1.801
Se -6.556 -11.966 1.665
Se -6.570 -13.057 -5.206
Se -12.793 -4.716 -8.672
Se -10.717 -2.683 -1.790
Se -8.618 -11.024 1.654
Se -8.632 -13.999 -5.216
Se -10.731 -5.658 -8.661
Se -10.510 -3.954 -5.251
Se -8.853 -12.295 -8.627
Se -8.839 -12.728 -1.756
Se -10.496 -4.387 1.620
Se -11.600 -1.978 -4.890
Se -7.762 -10.319 -8.988
Se -7.748 -14.704 -2.117
Se -11.587 -6.363 1.981
Se -18.935 -4.303 2.790
Se -0.400 -12.643 -2.926
Se -0.413 -12.379 -9.797
Se -18.949 -4.038 -4.081
Se -0.649 -6.420 -4.658
Se -18.686 -14.761 4.522
Se -18.700 -10.261 -2.348
Se -0.663 -1.920 -11.529
Se -1.884 -7.048 -2.827
Se -17.451 -15.389 2.691
Se -17.465 -9.633 -4.180
Se -1.897 -1.293 -9.698
Se -4.076 -6.296 -3.427
Se -15.259 -14.636 3.291
Se -15.273 -10.386 -3.579
Se -4.090 -2.045 -10.298
Se -4.499 -4.669 -1.857
Se -14.836 -13.010 1.721
Se -14.849 -12.012 -5.149
Se -4.513 -3.672 -8.728
Se -3.912 -2.548 -2.984
Se -15.423 -10.889 2.848
Se -15.436 -14.134 -4.023
Se -3.926 -5.793 -9.854
Se -1.744 -1.942 -2.011
Se -17.591 -10.283 1.875
Se -17.605 -14.740 -4.996
Se -1.758 -6.399 -8.881
Se -0.712 -3.972 -1.759
Se -18.623 -12.313 1.623
Se -18.637 -12.709 -5.248
Se -0.725 -4.369 -8.630
Se -0.927 -2.596 -5.199
Se -18.408 -10.937 5.063
Se -18.422 -14.085 -1.808
Se -0.941 -5.745 -12.069
Se -3.035 -3.436 -5.149
Se -16.300 -11.777 5.014
Se -16.313 -13.246 -1.857
Se -3.049 -4.905 -12.020
F -3.059 -16.398 -4.468
F -16.276 -8.057 4.332
F -16.290 -0.284 -2.539
F -3.072 -8.624 -11.339
F -0.685 -15.568 -5.518
F -18.650 -7.227 5.383
F -18.663 -1.114 -1.488
F -0.699 -9.455 -12.389
F -2.662 -13.787 -5.084
F -16.673 -5.446 4.948
F -16.687 -2.895 -1.923
F -2.676 -11.236 -11.954
F -2.387 -0.456 -6.962
F -16.976 -8.797 -6.915
F -16.962 -16.226 -0.045
F -2.373 -7.885 -0.091
F -4.353 -15.223 -6.624
F -15.010 -6.882 -7.254
F -14.996 -1.458 -0.383
F -4.339 -9.799 0.247
F -1.958 -14.568 -7.668
F -17.405 -6.227 -6.209
F -17.391 -2.113 0.662
F -1.944 -10.454 -0.797
F -16.697 -5.817 -2.214
F -2.665 -14.158 -11.663
F -2.652 -10.865 -4.792
F -16.683 -2.524 4.657
F -18.320 -7.472 -0.772
F -1.043 -15.812 -13.105
F -1.029 -9.210 -6.234
F -18.306 -0.869 6.098
F -14.853 -5.860 -0.220
F -4.482 -14.200 0.085
F -4.496 -10.822 -6.786
F -14.866 -2.481 -7.091
F -16.406 -7.579 1.187
F -2.929 -15.920 -1.323
F -2.942 -9.102 -8.194
F -16.420 -0.761 -5.683
F -15.798 -8.209 -1.385
F -3.564 -16.549 -12.493
F -3.550 -8.473 -5.622
F -15.785 -0.132 5.486
F -17.428 -5.211 0.386
F -1.907 -13.551 -0.522
F -1.921 -11.471 -7.393
F -17.441 -3.130 -6.485
F -12.615 -13.873 -2.342
F -6.721 -5.532 2.206
F -6.734 -2.809 -4.664
F -12.628 -11.150 -9.213
F -13.198 -16.512 -2.529
F -6.164 -8.171 -11.349
F -6.150 -0.170 -4.478
F -13.185 -8.511 4.342
F -11.905 -0.337 -0.222
F -7.430 -8.678 0.086
F -7.444 -16.345 -6.785
F -11.919 -8.004 -7.092
F -11.235 -14.391 0.007
F -8.100 -6.050 -0.142
F -8.114 -2.290 -7.013
F -11.249 -10.631 -6.864
F -13.847 -15.061 -0.269
F -5.488 -6.720 0.134
F -5.502 -1.621 -6.737
F -13.861 -9.961 -7.140
F -10.622 -15.731 -2.257
F -8.713 -7.390 2.121
F -8.726 -0.951 -4.749
F -10.636 -9.292 -9.128
F -13.919 -11.043 -0.494
F -5.416 -2.703 0.358
F -5.429 -5.638 -6.512
F -13.933 -13.979 -7.365
F -10.777 -8.847 -0.125
F -8.558 -0.507 -0.010
F -8.572 -7.834 -6.881
F -10.790 -16.175 -6.996
F -11.467 -10.902 -1.750
F -7.868 -2.561 1.614
F -7.882 -5.780 -5.256
F -11.480 -14.121 -8.621
F -11.610 -11.199 0.936
F -7.725 -2.858 -1.072
F -7.739 -5.483 -7.942
F -11.624 -13.824 -5.935
F -13.198 -8.980 1.102
F -6.138 -0.639 -1.238
F -6.151 -7.702 -8.109
F -13.211 -16.043 -5.768
F -13.038 -8.708 -1.619
F -6.297 -0.367 1.483
F -6.311 -7.974 -5.388
F -13.052 -16.315 -8.490
```

crystal system = monoclinic
energy above the lowest structure with this stoichiometry = 0.0 kJ/mol of atoms
energy of formation = -1.589 eV/atom